The following is a PBE-GGA calculation of a relaxed LiAgF2 crystal, from the Materials Project database.

```
data_LiAgF2
_chemical_formula_sum 'Li4 Ag4 F8'
_cell_length_a 11.487
_cell_length_b 3.187
_cell_length_c 6.140
_cell_angle_alpha 90.00
_cell_angle_beta 90.00
_cell_angle_gamma 90.00
_space_group_name_H-M_alt 'P 1'
_space_group_IT_number 1
loop_
_space_group_symop_operation_xyz
'x,y,z'
loop_
_atom_site_label
_atom_site_fract_x
_atom_site_fract_y
_atom_site_fract_z
Li1 0.072 0.250 0.114
Li2 0.428 0.750 0.614
Li3 0.572 0.250 0.386
Li4 0.928 0.750 0.886
Ag1 0.133 0.750 0.560
Ag2 0.367 0.250 0.060
Ag3 0.633 0.750 0.940
Ag4 0.867 0.250 0.440
F1 0.018 0.250 0.816
F2 0.200 0.250 0.290
F3 0.300 0.750 0.790
F4 0.482 0.750 0.316
F5 0.518 0.250 0.684
F6 0.700 0.250 0.210
F7 0.800 0.750 0.710
F8 0.982 0.750 0.184
```

For the electronic total energy, the calculation gives -64.240 eV/cell. The value obtained for the volume is 224.8 Å³/cell. The crystal system is orthorhombic. The formation energy comes out at -2.10 eV per atom.



The following is a PBE-GGA calculation of a relaxed Te2MoW2Se4 crystal, from the Materials Project database.

```
data_Te2MoW2Se4
_chemical_formula_sum 'Te2 Mo1 W2 Se4'
_cell_length_a 3.401
_cell_length_b 3.401
_cell_length_c 31.441
_cell_angle_alpha 90.00
_cell_angle_beta 90.00
_cell_angle_gamma 120.00
_space_group_name_H-M_alt 'P 1'
_space_group_IT_number 1
loop_
_space_group_symop_operation_xyz
'x,y,z'
loop_
_atom_site_label
_atom_site_fract_x
_atom_site_fract_y
_atom_site_fract_z
Te1 0.000 0.000 0.000
Te2 0.000 0.000 0.120
Mo1 0.000 0.000 0.828
W1 0.000 0.000 0.291
W2 0.333 0.667 0.060
Se1 0.333 0.667 0.239
Se2 0.333 0.667 0.344
Se3 0.333 0.667 0.776
Se4 0.333 0.667 0.881
```

For the electronic total energy, the calculation gives -60.725 eV/cell. The value obtained for the volume is 315.0 Å³/cell. The crystal system is trigonal. The formation energy comes out at -0.62 eV per atom.



The following is a PBE-GGA calculation of a relaxed Nd2Fe14B crystal, from the Materials Project database.

```
data_Nd2Fe14B
_chemical_formula_sum 'Nd8 Fe56 B4'
_cell_length_a 8.629
_cell_length_b 8.629
_cell_length_c 12.750
_cell_angle_alpha 90.00
_cell_angle_beta 90.00
_cell_angle_gamma 90.00
_space_group_name_H-M_alt 'P 1'
_space_group_IT_number 1
loop_
_space_group_symop_operation_xyz
'x,y,z'
loop_
_atom_site_label
_atom_site_fract_x
_atom_site_fract_y
_atom_site_fract_z
Nd1 0.196 0.196 0.000
Nd2 0.235 0.765 0.000
Nd3 0.265 0.265 0.500
Nd4 0.304 0.696 0.500
Nd5 0.696 0.304 0.500
Nd6 0.735 0.735 0.500
Nd7 0.765 0.235 0.000
Nd8 0.804 0.804 0.000
Fe1 0.000 0.000 0.094
Fe2 0.000 0.000 0.906
Fe3 0.000 0.500 0.000
Fe4 0.000 0.500 0.500
Fe5 0.023 0.642 0.178
Fe6 0.023 0.642 0.822
Fe7 0.030 0.744 0.382
Fe8 0.030 0.744 0.618
Fe9 0.100 0.900 0.239
Fe10 0.100 0.900 0.761
Fe11 0.142 0.477 0.322
Fe12 0.142 0.477 0.678
Fe13 0.198 0.198 0.249
Fe14 0.198 0.198 0.751
Fe15 0.244 0.470 0.118
Fe16 0.244 0.470 0.882
Fe17 0.256 0.970 0.382
Fe18 0.256 0.970 0.618
Fe19 0.302 0.698 0.251
Fe20 0.302 0.698 0.749
Fe21 0.358 0.977 0.178
Fe22 0.358 0.977 0.822
Fe23 0.400 0.400 0.261
Fe24 0.400 0.400 0.739
Fe25 0.470 0.244 0.118
Fe26 0.470 0.244 0.882
Fe27 0.477 0.142 0.322
Fe28 0.477 0.142 0.678
Fe29 0.500 0.000 0.000
Fe30 0.500 0.000 0.500
Fe31 0.500 0.500 0.406
Fe32 0.500 0.500 0.594
Fe33 0.523 0.858 0.322
Fe34 0.523 0.858 0.678
Fe35 0.530 0.756 0.118
Fe36 0.530 0.756 0.882
Fe37 0.600 0.600 0.261
Fe38 0.600 0.600 0.739
Fe39 0.642 0.023 0.178
Fe40 0.642 0.023 0.822
Fe41 0.698 0.302 0.251
Fe42 0.698 0.302 0.749
Fe43 0.744 0.030 0.382
Fe44 0.744 0.030 0.618
Fe45 0.756 0.530 0.118
Fe46 0.756 0.530 0.882
Fe47 0.802 0.802 0.249
Fe48 0.802 0.802 0.751
Fe49 0.858 0.523 0.322
Fe50 0.858 0.523 0.678
Fe51 0.900 0.100 0.239
Fe52 0.900 0.100 0.761
Fe53 0.970 0.256 0.382
Fe54 0.970 0.256 0.618
Fe55 0.977 0.358 0.178
Fe56 0.977 0.358 0.822
B1 0.073 0.927 0.500
B2 0.427 0.427 0.000
B3 0.573 0.573 0.000
B4 0.927 0.073 0.500
```

For the electronic total energy, the calculation gives -526.257 eV/cell. The value obtained for the volume is 949.3 Å³/cell. The crystal system is tetragonal. The formation energy comes out at 0.19 eV per atom.



The following is a PBE-GGA calculation of a relaxed ReS2 crystal, from the Materials Project database.

```
data_ReS2
_chemical_formula_sum 'Re1 S2'
_cell_length_a 2.918
_cell_length_b 2.918
_cell_length_c 7.405
_cell_angle_alpha 90.00
_cell_angle_beta 90.00
_cell_angle_gamma 120.00
_space_group_name_H-M_alt 'P 1'
_space_group_IT_number 1
loop_
_space_group_symop_operation_xyz
'x,y,z'
loop_
_atom_site_label
_atom_site_fract_x
_atom_site_fract_y
_atom_site_fract_z
Re1 0.000 0.000 0.000
S1 0.000 0.000 0.315
S2 0.667 0.333 0.784
```

For the electronic total energy, the calculation gives -20.558 eV/cell. The value obtained for the volume is 54.6 Å³/cell. The crystal system is trigonal. The formation energy comes out at -0.28 eV per atom.



The following is a PBE-GGA calculation of a relaxed NaCa2Nb2P3S3O24 crystal, from the Materials Project database.

```
data_NaCa2Nb2P3S3O24
_chemical_formula_sum 'Na3 Ca6 Nb6 P9 S9 O72'
_cell_length_a 9.017
_cell_length_b 9.017
_cell_length_c 23.279
_cell_angle_alpha 89.95
_cell_angle_beta 89.81
_cell_angle_gamma 60.08
_space_group_name_H-M_alt 'P 1'
_space_group_IT_number 1
loop_
_space_group_symop_operation_xyz
'x,y,z'
loop_
_atom_site_label
_atom_site_fract_x
_atom_site_fract_y
_atom_site_fract_z
Na1 0.000 0.000 0.000
Na2 0.000 0.025 0.506
Na3 0.348 0.327 0.342
Ca1 0.333 0.339 0.195
Ca2 0.336 0.338 0.482
Ca3 0.661 0.682 0.033
Ca4 0.989 0.013 0.855
Ca5 0.991 0.021 0.661
Ca6 0.998 0.015 0.367
Nb1 0.327 0.340 0.986
Nb2 0.328 0.344 0.693
Nb3 0.654 0.678 0.828
Nb4 0.658 0.682 0.316
Nb5 0.666 0.669 0.531
Nb6 0.994 0.004 0.151
P1 0.041 0.346 0.589
P2 0.051 0.630 0.092
P3 0.317 0.061 0.092
P4 0.369 0.672 0.929
P5 0.388 0.953 0.425
P6 0.661 0.971 0.927
P7 0.665 0.399 0.423
P8 0.691 0.319 0.758
P9 0.714 0.006 0.260
S1 0.289 0.725 0.259
S2 0.307 0.008 0.758
S3 0.335 0.632 0.590
S4 0.620 0.048 0.590
S5 0.626 0.332 0.091
S6 0.941 0.676 0.424
S7 0.959 0.388 0.926
S8 0.990 0.304 0.259
S9 0.995 0.703 0.758
O1 0.007 0.200 0.598
O2 0.016 0.203 0.310
O3 0.039 0.819 0.100
O4 0.044 0.765 0.807
O5 0.107 0.521 0.424
O6 0.129 0.383 0.931
O7 0.130 0.340 0.253
O8 0.131 0.540 0.146
O9 0.137 0.370 0.644
O10 0.140 0.056 0.102
O11 0.145 0.327 0.537
O12 0.151 0.525 0.743
O13 0.173 0.541 0.037
O14 0.191 0.803 0.310
O15 0.193 0.804 0.600
O16 0.194 0.819 0.916
O17 0.199 0.053 0.808
O18 0.208 0.833 0.206
O19 0.220 0.955 0.428
O20 0.241 0.968 0.707
O21 0.289 0.185 0.038
O22 0.314 0.555 0.539
O23 0.324 0.551 0.252
O24 0.333 0.160 0.744
O25 0.341 0.139 0.145
O26 0.361 0.521 0.642
O27 0.365 0.499 0.936
O28 0.382 0.123 0.422
O29 0.451 0.883 0.080
O30 0.456 0.692 0.979
O31 0.465 0.714 0.264
O32 0.483 0.860 0.770
O33 0.486 0.150 0.936
O34 0.493 0.650 0.873
O35 0.494 0.846 0.480
O36 0.496 0.851 0.369
O37 0.499 0.397 0.422
O38 0.499 0.642 0.585
O39 0.505 0.347 0.739
O40 0.508 0.137 0.643
O41 0.531 0.355 0.143
O42 0.534 0.149 0.253
O43 0.545 0.299 0.039
O44 0.546 0.152 0.540
O45 0.626 0.878 0.585
O46 0.637 0.873 0.872
O47 0.663 0.502 0.775
O48 0.663 0.506 0.370
O49 0.664 0.466 0.081
O50 0.671 0.500 0.480
O51 0.688 0.864 0.979
O52 0.704 0.833 0.268
O53 0.750 0.207 0.810
O54 0.793 0.016 0.599
O55 0.800 0.023 0.312
O56 0.800 0.257 0.705
O57 0.802 0.164 0.097
O58 0.804 0.008 0.916
O59 0.826 0.478 0.266
O60 0.828 0.229 0.428
O61 0.832 0.981 0.205
O62 0.842 0.684 0.478
O63 0.850 0.668 0.372
O64 0.851 0.673 0.771
O65 0.858 0.461 0.977
O66 0.859 0.519 0.581
O67 0.871 0.499 0.873
O68 0.874 0.670 0.081
O69 0.951 0.833 0.426
O70 0.960 0.807 0.706
O71 0.965 0.221 0.207
O72 0.993 0.214 0.916
```

For the electronic total energy, the calculation gives -741.788 eV/cell. The value obtained for the volume is 1640.5 Å³/cell. The crystal system is triclinic. The formation energy comes out at -2.59 eV per atom.



The following is a PBE-GGA calculation of a relaxed HfS crystal, from the Materials Project database.

```
data_HfS
_chemical_formula_sum 'Hf1 S1'
_cell_length_a 3.393
_cell_length_b 3.393
_cell_length_c 3.445
_cell_angle_alpha 90.00
_cell_angle_beta 90.00
_cell_angle_gamma 120.00
_space_group_name_H-M_alt 'P 1'
_space_group_IT_number 1
loop_
_space_group_symop_operation_xyz
'x,y,z'
loop_
_atom_site_label
_atom_site_fract_x
_atom_site_fract_y
_atom_site_fract_z
Hf1 0.000 0.000 0.000
S1 0.667 0.333 0.500
```

For the electronic total energy, the calculation gives -17.107 eV/cell. The value obtained for the volume is 34.4 Å³/cell. The crystal system is hexagonal. The formation energy comes out at -1.76 eV per atom.



Question: electronic total energy of number 3 (Nd2Fe14B)?
Answer: -526.257 eV/cell



Question: What is the electronic total energy in the third record?
Answer: -526.257 eV/cell